{
  "formula": "ZnAs2",
  "functional": "PBE",
  "state": "optimized geometry",
  "lattice": [[9.407, 0.000, 0.000], [0.000, 7.802, 0.000], [-1.763, 0.000, 7.951]],
  "species": ["Zn", "Zn", "Zn", "Zn", "Zn", "Zn", "Zn", "Zn", "As", "As", "As", "As", "As", "As", "As", "As", "As", "As", "As", "As", "As", "As", "As", "As"],
  "frac_coords": [[0.081, 0.249, 0.394], [0.081, 0.251, 0.894], [0.389, 0.601, 0.223], [0.389, 0.899, 0.723], [0.611, 0.101, 0.277], [0.611, 0.399, 0.777], [0.919, 0.749, 0.106], [0.919, 0.751, 0.606], [0.067, 0.745, 0.892], [0.067, 0.755, 0.392], [0.238, 0.512, 0.433], [0.238, 0.988, 0.933], [0.243, 0.509, 0.936], [0.243, 0.991, 0.436], [0.385, 0.576, 0.719], [0.385, 0.924, 0.219], [0.615, 0.076, 0.781], [0.615, 0.424, 0.281], [0.757, 0.009, 0.564], [0.757, 0.491, 0.064], [0.762, 0.012, 0.067], [0.762, 0.488, 0.567], [0.933, 0.245, 0.608], [0.933, 0.255, 0.108]],
  "delta_e_f_kj_per_mol_atoms": -15.08,
  "total_energy_ev_per_cell": -88.38
}